# Na14Nb5Al3Si12O48

A relaxed Na14Nb5Al3Si12O48 crystal (PBE-GGA, the Materials Project database).

symmetry = P1

Cell lengths 18.017, 9.010, 22.101 Å; angles 90.04, 89.86, 120.08 degrees
Atoms (fractional coordinates):
O  0.820  0.496  0.921
O  0.085  0.690  0.754
O  0.933  0.368  0.645
O  0.933  0.498  0.146
O  0.346  0.518  0.245
O  0.418  0.810  0.588
O  0.654  0.830  0.255
O  0.428  0.497  0.422
O  0.155  0.830  0.253
O  0.912  0.515  0.744
O  0.900  0.967  0.691
O  0.845  0.515  0.244
O  0.419  0.026  0.089
O  0.082  0.692  0.480
O  0.845  0.175  0.744
O  0.927  0.500  0.422
O  0.918  0.026  0.088
O  0.408  0.974  0.412
O  0.583  0.967  0.192
O  0.915  0.300  0.528
O  0.242  0.310  0.744
O  0.851  0.166  0.024
O  0.098  0.163  0.805
O  0.085  0.203  0.690
O  0.599  0.035  0.311
O  0.765  0.829  0.478
O  0.154  0.836  0.980
O  0.747  0.851  0.079
O  0.733  0.168  0.525
O  0.754  0.138  0.922
O  0.900  0.832  0.191
O  0.418  0.802  0.311
O  0.987  0.163  0.588
O  0.251  0.368  0.145
O  0.741  0.174  0.244
O  0.655  0.480  0.753
O  0.574  0.508  0.578
O  0.517  0.200  0.192
O  0.915  0.797  0.309
O  0.265  0.700  0.978
O  0.751  0.134  0.644
O  0.918  0.810  0.588
O  0.581  0.972  0.912
O  0.253  0.641  0.857
O  0.487  0.164  0.588
O  0.413  0.309  0.245
O  0.683  0.500  0.359
O  0.235  0.297  0.027
O  0.916  0.035  0.808
O  0.017  0.831  0.690
O  0.095  0.163  0.088
O  0.567  0.635  0.359
O  0.247  0.851  0.079
O  0.987  0.810  0.088
O  0.098  0.033  0.305
O  0.075  0.507  0.579
O  0.650  0.468  0.478
O  0.154  0.472  0.481
O  0.427  0.352  0.921
O  0.179  0.851  0.578
O  0.433  0.369  0.644
O  0.903  0.966  0.412
O  0.585  0.203  0.690
O  0.095  0.026  0.588
O  0.180  0.507  0.078
O  0.765  0.700  0.978
O  0.513  0.841  0.412
O  0.243  0.176  0.244
O  0.816  0.498  0.644
O  0.483  0.164  0.311
O  0.324  0.147  0.422
O  0.412  0.516  0.744
O  0.903  0.841  0.912
O  0.815  0.139  0.422
O  0.681  0.863  0.859
O  0.403  0.840  0.912
O  0.011  0.187  0.913
O  0.914  0.529  0.028
O  0.579  0.184  0.411
O  0.316  0.135  0.144
O  0.679  0.851  0.578
O  0.751  0.369  0.145
O  0.736  0.298  0.028
O  0.254  0.370  0.422
O  0.927  0.353  0.921
O  0.400  0.833  0.192
O  0.850  0.534  0.525
O  0.010  0.834  0.413
O  0.595  0.027  0.588
O  0.181  0.498  0.359
O  0.082  0.189  0.413
O  0.075  0.643  0.079
O  0.155  0.480  0.753
O  0.568  0.494  0.858
O  0.085  0.967  0.190
O  0.247  0.644  0.579
O  0.351  0.534  0.525
O  0.351  0.166  0.025
O  0.760  0.691  0.254
O  0.751  0.359  0.422
O  0.742  0.309  0.744
O  0.760  0.830  0.753
O  0.817  0.135  0.144
O  0.316  0.497  0.644
O  0.180  0.863  0.859
O  0.483  0.804  0.806
O  0.912  0.308  0.244
O  0.595  0.163  0.088
O  0.254  0.138  0.922
O  0.511  0.187  0.912
O  0.083  0.473  0.980
O  0.235  0.171  0.528
O  0.320  0.495  0.921
O  0.415  0.035  0.809
O  0.017  0.202  0.190
O  0.751  0.866  0.358
O  0.517  0.832  0.690
O  0.345  0.176  0.744
O  0.487  0.811  0.088
O  0.575  0.643  0.079
O  0.434  0.500  0.145
O  0.414  0.528  0.028
O  0.983  0.804  0.806
O  0.598  0.163  0.805
O  0.081  0.972  0.912
O  0.746  0.642  0.578
O  0.250  0.132  0.645
O  0.585  0.702  0.478
O  0.983  0.162  0.306
O  0.585  0.477  0.255
O  0.753  0.641  0.857
O  0.261  0.692  0.255
O  0.585  0.690  0.754
O  0.583  0.472  0.980
O  0.654  0.836  0.980
O  0.400  0.967  0.691
O  0.679  0.507  0.078
O  0.068  0.494  0.858
O  0.260  0.830  0.753
O  0.252  0.865  0.358
O  0.266  0.831  0.478
O  0.068  0.641  0.358
O  0.416  0.300  0.525
O  0.085  0.479  0.254
Si  0.026  0.669  0.421
Si  0.523  0.674  0.420
Si  0.691  0.340  0.086
Si  0.829  0.617  0.586
Si  0.854  0.702  0.250
Si  0.354  0.006  0.750
Si  0.692  0.042  0.585
Si  0.479  0.618  0.086
Si  0.313  0.953  0.420
Si  0.025  0.383  0.922
Si  0.149  0.292  0.748
Si  0.649  0.292  0.748
Si  0.854  0.006  0.750
Si  0.646  0.007  0.253
Si  0.191  0.041  0.587
Si  0.357  0.708  0.253
Si  0.149  0.006  0.248
Si  0.830  0.043  0.085
Si  0.165  0.382  0.421
Si  0.979  0.617  0.087
Si  0.997  0.702  0.749
Si  0.665  0.950  0.922
Si  0.663  0.374  0.420
Si  0.808  0.664  0.921
Si  0.496  0.285  0.253
Si  0.980  0.341  0.587
Si  0.497  0.703  0.749
Si  0.809  0.950  0.420
Si  0.165  0.950  0.922
Si  0.997  0.292  0.249
Si  0.192  0.341  0.086
Si  0.308  0.664  0.921
Si  0.479  0.341  0.585
Si  0.330  0.043  0.086
Si  0.330  0.616  0.586
Si  0.525  0.382  0.922
Al  0.499  0.000  0.353
Al  0.832  0.332  0.185
Al  0.167  0.667  0.022
Al  0.666  0.666  0.022
Al  0.833  0.333  0.685
Al  0.665  0.665  0.520
Al  0.334  0.333  0.685
Al  0.167  0.668  0.521
Al  0.335  0.335  0.186
Nb  0.502  0.000  0.857
Nb  0.003  0.005  0.356
Nb  0.500  0.000  0.644
Nb  0.836  0.333  0.478
Nb  0.833  0.338  0.978
Nb  0.002  0.000  0.857
Nb  0.500  0.000  0.146
Nb  0.330  0.328  0.478
Nb  0.665  0.665  0.313
Nb  0.168  0.670  0.314
Nb  0.166  0.665  0.814
Nb  0.000  0.000  0.144
Nb  0.000  0.999  0.644
Nb  0.666  0.665  0.814
Nb  0.333  0.338  0.978
Na  0.504  0.000  0.999
Na  0.495  0.365  0.746
Na  0.494  0.626  0.246
Na  0.833  0.341  0.832
Na  0.005  0.009  0.497
Na  0.688  0.009  0.746
Na  0.520  0.697  0.579
Na  0.152  0.346  0.579
Na  0.828  0.958  0.580
Na  0.188  0.010  0.746
Na  0.828  0.696  0.080
Na  0.847  0.664  0.418
Na  0.317  0.625  0.746
Na  0.329  0.699  0.080
Na  0.651  0.343  0.579
Na  0.328  0.958  0.579
Na  0.153  0.960  0.079
Na  0.815  0.009  0.245
Na  0.167  0.667  0.661
Na  0.190  0.371  0.244
Na  0.020  0.344  0.079
Na  0.355  0.679  0.415
Na  0.168  0.667  0.160
Na  0.817  0.625  0.746
Na  0.995  0.623  0.246
Na  0.661  0.034  0.414
Na  0.836  0.331  0.329
Na  0.686  0.361  0.247
Na  0.651  0.959  0.080
Na  0.484  0.292  0.414
Na  0.005  0.000  0.998
Na  0.995  0.366  0.747
Na  0.320  0.010  0.246
Na  0.667  0.667  0.661
Na  0.333  0.341  0.832
Na  0.021  0.697  0.579
Na  0.349  0.032  0.920
Na  0.499  0.000  0.493
Na  0.331  0.328  0.329
Na  0.666  0.666  0.160
Na  0.520  0.343  0.080
Na  0.849  0.032  0.920

# Na14Al4O13

A relaxed Na14Al4O13 crystal (PBE-GGA, the Materials Project database).

symmetry = P2_1/c

Cell lengths 27.369, 6.011, 6.017 Å; angles 60.39, 90.00, 90.00 degrees
Atoms (fractional coordinates):
O  0.790  0.064  0.992
O  0.671  0.547  0.786
O  0.057  0.537  0.284
O  0.605  0.971  0.500
O  0.557  0.183  0.783
O  0.329  0.453  0.214
O  0.895  0.971  0.000
O  0.290  0.936  0.508
O  0.105  0.029  0.000
O  0.171  0.453  0.714
O  0.210  0.936  0.008
O  0.943  0.463  0.716
O  0.943  0.183  0.283
O  0.395  0.029  0.500
O  0.443  0.817  0.217
O  0.830  0.820  0.719
O  0.710  0.064  0.492
O  0.670  0.820  0.219
O  0.000  0.000  0.000
O  0.557  0.463  0.216
O  0.500  0.000  0.500
O  0.057  0.817  0.717
O  0.170  0.180  0.281
O  0.443  0.537  0.784
O  0.330  0.180  0.781
O  0.829  0.547  0.286
Na  0.611  0.251  0.033
Na  0.224  0.212  0.561
Na  0.554  0.650  0.498
Na  0.276  0.212  0.061
Na  0.218  0.787  0.451
Na  0.660  0.369  0.493
Na  0.500  0.766  0.967
Na  0.054  0.350  0.002
Na  0.724  0.788  0.939
Na  0.776  0.788  0.439
Na  0.388  0.220  0.035
Na  0.282  0.787  0.951
Na  0.840  0.369  0.993
Na  0.612  0.780  0.965
Na  0.000  0.234  0.533
Na  0.782  0.213  0.549
Na  0.446  0.350  0.502
Na  0.888  0.780  0.465
Na  0.889  0.251  0.533
Na  0.112  0.220  0.535
Na  0.718  0.213  0.049
Na  0.946  0.650  0.998
Na  0.500  0.234  0.033
Na  0.111  0.749  0.467
Na  0.340  0.631  0.507
Na  0.389  0.749  0.967
Na  0.000  0.766  0.467
Na  0.160  0.631  0.007
Al  0.665  0.845  0.500
Al  0.555  0.164  0.500
Al  0.445  0.836  0.500
Al  0.165  0.155  0.000
Al  0.055  0.836  0.000
Al  0.335  0.155  0.500
Al  0.945  0.164  0.000
Al  0.835  0.845  0.000

# NaAlO2

A relaxed NaAlO2 crystal (PBE-GGA, the Materials Project database).

symmetry = Pna2_1
maximum piezoelectric response = 1.20 C/m²

Cell lengths 5.286, 5.465, 7.063 Å; angles 90.00, 90.00, 90.00 degrees
Atoms (fractional coordinates):
Al  0.000  0.061  0.126
Al  0.000  0.561  0.374
Al  0.500  0.439  0.626
Al  0.500  0.939  0.874
O  0.929  0.375  0.174
O  0.429  0.125  0.674
O  0.830  0.467  0.578
O  0.330  0.033  0.078
O  0.429  0.625  0.826
O  0.929  0.875  0.326
O  0.830  0.967  0.922
O  0.330  0.533  0.422
Na  0.485  0.430  0.123
Na  0.985  0.070  0.623
Na  0.485  0.930  0.377
Na  0.985  0.570  0.877

# Na3Al4O8

A relaxed Na3Al4O8 crystal (PBE-GGA, the Materials Project database).

symmetry = Im-3m

Cell lengths 9.097, 9.097, 9.097 Å; angles 109.47, 109.47, 109.47 degrees
Atoms (fractional coordinates):
O  0.801  0.602  0.801
O  0.801  0.801  0.602
O  0.199  0.000  0.801
O  0.199  0.398  0.199
O  0.500  0.000  0.000
O  0.199  0.199  0.398
O  0.398  0.199  0.199
O  0.000  0.199  0.801
O  0.000  0.500  0.000
O  0.602  0.801  0.801
O  0.000  0.000  0.500
O  0.500  0.500  0.500
O  0.199  0.801  0.000
O  0.801  0.000  0.199
O  0.000  0.801  0.199
O  0.801  0.199  0.000
Na  0.250  0.500  0.750
Na  0.500  0.250  0.750
Na  0.250  0.750  0.500
Na  0.750  0.500  0.250
Na  0.500  0.750  0.250
Na  0.750  0.250  0.500
Al  0.000  0.000  0.687
Al  0.000  0.000  0.313
Al  0.000  0.313  0.000
Al  0.313  0.313  0.313
Al  0.000  0.687  0.000
Al  0.313  0.000  0.000
Al  0.687  0.000  0.000
Al  0.687  0.687  0.687

# NaAlO2

A relaxed NaAlO2 crystal (PBE-GGA, the Materials Project database).

symmetry = R-3m

Cell lengths 2.900, 2.900, 5.618 Å; angles 75.04, 75.04, 60.00 degrees
Atoms (fractional coordinates):
Na  0.000  0.000  0.000
O  0.770  0.770  0.689
O  0.230  0.230  0.311
Al  0.500  0.500  0.500

no.,DFT formation energy (kJ per mole of atoms)
1,-284
2,-218
3,-283
4,-243
5,-277